TeC4F8 PBE-GGA optimized geometry; total moment = 0.000 μB per cell; V = 5230.1 Å³ per cell; mass density = 2.5 g/cm³; crystal system = cubic; corrected total energy (MP2020 scheme) = -5.584 eV per atom; E = -5.30 eV/atom
1.0
7.358 17.932 1.976
-1.909 12.957 -14.425
-11.940 15.250 2.120
F Te C
192 24 96
Direct
0.784 0.591 0.331 F
0.342 0.410 0.223 F
0.842 0.910 0.026 F
0.016 0.261 0.627 F
0.085 0.457 0.563 F
0.795 0.591 0.784 F
0.705 0.169 0.716 F
0.457 0.395 0.563 F
0.091 0.284 0.831 F
0.216 0.409 0.669 F
0.410 0.342 0.526 F
0.984 0.373 0.405 F
0.295 0.284 0.091 F
0.127 0.761 0.516 F
0.223 0.526 0.342 F
0.484 0.873 0.239 F
0.590 0.474 0.777 F
0.543 0.605 0.437 F
0.127 0.095 0.761 F
0.474 0.590 0.658 F
0.585 0.957 0.895 F
0.405 0.373 0.739 F
0.915 0.605 0.543 F
0.563 0.085 0.457 F
0.974 0.277 0.158 F
0.261 0.627 0.016 F
0.063 0.585 0.895 F
0.984 0.739 0.373 F
0.277 0.090 0.158 F
0.261 0.016 0.595 F
0.984 0.405 0.739 F
0.716 0.169 0.909 F
0.043 0.937 0.105 F
0.842 0.026 0.723 F
0.063 0.957 0.585 F
0.831 0.091 0.284 F
0.739 0.373 0.984 F
0.090 0.158 0.277 F
0.595 0.627 0.261 F
0.105 0.415 0.043 F
0.526 0.410 0.342 F
0.095 0.127 0.516 F
0.910 0.842 0.723 F
0.474 0.777 0.590 F
0.342 0.526 0.410 F
0.373 0.405 0.984 F
0.777 0.658 0.590 F
0.457 0.563 0.085 F
0.409 0.205 0.669 F
0.909 0.716 0.169 F
0.239 0.873 0.905 F
0.716 0.909 0.705 F
0.563 0.457 0.395 F
0.284 0.091 0.295 F
0.331 0.591 0.795 F
0.795 0.784 0.331 F
0.937 0.043 0.415 F
0.105 0.937 0.415 F
0.395 0.085 0.563 F
0.585 0.063 0.957 F
0.658 0.777 0.474 F
0.761 0.516 0.127 F
0.457 0.085 0.395 F
0.669 0.205 0.216 F
0.591 0.784 0.795 F
0.085 0.395 0.457 F
0.526 0.223 0.410 F
0.909 0.169 0.705 F
0.761 0.127 0.095 F
0.223 0.410 0.526 F
0.585 0.895 0.063 F
0.127 0.516 0.095 F
0.873 0.239 0.484 F
0.777 0.590 0.474 F
0.543 0.437 0.915 F
0.395 0.563 0.457 F
0.091 0.295 0.284 F
0.723 0.026 0.910 F
0.043 0.415 0.937 F
0.910 0.026 0.842 F
0.739 0.984 0.405 F
0.591 0.795 0.331 F
0.026 0.723 0.842 F
0.543 0.915 0.605 F
0.415 0.937 0.043 F
0.873 0.484 0.905 F
0.216 0.669 0.205 F
0.295 0.091 0.831 F
0.016 0.595 0.261 F
0.277 0.974 0.090 F
0.595 0.016 0.627 F
0.895 0.957 0.063 F
0.090 0.277 0.974 F
0.669 0.216 0.409 F
0.873 0.905 0.239 F
0.239 0.905 0.484 F
0.158 0.090 0.974 F
0.591 0.331 0.784 F
0.169 0.909 0.716 F
0.842 0.723 0.910 F
0.095 0.761 0.127 F
0.205 0.216 0.669 F
0.915 0.543 0.437 F
0.658 0.474 0.590 F
0.277 0.158 0.974 F
0.223 0.342 0.410 F
0.373 0.984 0.739 F
0.016 0.627 0.595 F
0.410 0.526 0.223 F
0.284 0.295 0.831 F
0.484 0.239 0.905 F
0.669 0.409 0.205 F
0.795 0.331 0.591 F
0.516 0.127 0.761 F
0.909 0.705 0.716 F
0.405 0.984 0.373 F
0.590 0.658 0.474 F
0.705 0.909 0.169 F
0.831 0.284 0.295 F
0.091 0.831 0.295 F
0.169 0.716 0.705 F
0.409 0.669 0.216 F
0.085 0.563 0.395 F
0.937 0.105 0.043 F
0.373 0.739 0.405 F
0.937 0.415 0.105 F
0.090 0.974 0.158 F
0.739 0.405 0.373 F
0.595 0.261 0.016 F
0.342 0.223 0.526 F
0.437 0.543 0.605 F
0.043 0.105 0.415 F
0.957 0.063 0.895 F
0.705 0.716 0.909 F
0.437 0.605 0.915 F
0.284 0.831 0.091 F
0.605 0.437 0.543 F
0.658 0.590 0.777 F
0.437 0.915 0.543 F
0.295 0.831 0.284 F
0.905 0.484 0.239 F
0.526 0.342 0.223 F
0.605 0.543 0.915 F
0.590 0.777 0.658 F
0.784 0.331 0.795 F
0.409 0.216 0.205 F
0.723 0.910 0.842 F
0.563 0.395 0.085 F
0.095 0.516 0.761 F
0.761 0.095 0.516 F
0.216 0.205 0.409 F
0.063 0.895 0.957 F
0.957 0.585 0.063 F
0.331 0.784 0.591 F
0.895 0.585 0.957 F
0.405 0.739 0.984 F
0.895 0.063 0.585 F
0.831 0.295 0.091 F
0.777 0.474 0.658 F
0.158 0.974 0.277 F
0.716 0.705 0.169 F
0.905 0.239 0.873 F
0.974 0.158 0.090 F
0.974 0.090 0.277 F
0.261 0.595 0.627 F
0.484 0.905 0.873 F
0.910 0.723 0.026 F
0.723 0.842 0.026 F
0.957 0.895 0.585 F
0.105 0.043 0.937 F
0.331 0.795 0.784 F
0.169 0.705 0.909 F
0.905 0.873 0.484 F
0.026 0.842 0.910 F
0.415 0.043 0.105 F
0.410 0.223 0.342 F
0.474 0.658 0.777 F
0.026 0.910 0.723 F
0.784 0.795 0.591 F
0.627 0.261 0.595 F
0.516 0.761 0.095 F
0.415 0.105 0.937 F
0.395 0.457 0.085 F
0.627 0.016 0.261 F
0.605 0.915 0.437 F
0.158 0.277 0.090 F
0.239 0.484 0.873 F
0.915 0.437 0.605 F
0.516 0.095 0.127 F
0.627 0.595 0.016 F
0.205 0.409 0.216 F
0.205 0.669 0.409 F
0.028 0.250 0.472 Te
0.472 0.250 0.750 Te
0.750 0.250 0.528 Te
0.750 0.972 0.250 Te
0.528 0.750 0.250 Te
0.528 0.972 0.750 Te
0.028 0.750 0.250 Te
0.472 0.750 0.028 Te
0.250 0.972 0.528 Te
0.028 0.472 0.750 Te
0.972 0.250 0.750 Te
0.972 0.750 0.528 Te
0.250 0.028 0.750 Te
0.750 0.472 0.250 Te
0.250 0.472 0.028 Te
0.250 0.750 0.472 Te
0.750 0.028 0.472 Te
0.528 0.250 0.972 Te
0.750 0.250 0.028 Te
0.250 0.528 0.750 Te
0.972 0.528 0.250 Te
0.750 0.528 0.972 Te
0.472 0.028 0.250 Te
0.250 0.750 0.972 Te
0.916 0.067 0.350 C
0.855 0.733 0.567 C
0.344 0.855 0.567 C
0.168 0.916 0.350 C
0.645 0.767 0.156 C
0.416 0.668 0.850 C
0.233 0.067 0.844 C
0.668 0.567 0.850 C
0.067 0.350 0.916 C
0.933 0.645 0.156 C
0.067 0.844 0.233 C
0.344 0.733 0.855 C
0.933 0.767 0.645 C
0.832 0.933 0.084 C
0.767 0.933 0.156 C
0.645 0.933 0.767 C
0.650 0.832 0.084 C
0.844 0.067 0.355 C
0.267 0.145 0.656 C
0.844 0.355 0.233 C
0.355 0.067 0.233 C
0.433 0.584 0.150 C
0.150 0.433 0.584 C
0.933 0.832 0.650 C
0.156 0.767 0.933 C
0.567 0.850 0.668 C
0.933 0.650 0.084 C
0.067 0.916 0.168 C
0.656 0.433 0.267 C
0.650 0.084 0.933 C
0.844 0.233 0.067 C
0.433 0.150 0.332 C
0.767 0.645 0.933 C
0.156 0.645 0.767 C
0.832 0.650 0.933 C
0.332 0.433 0.150 C
0.150 0.584 0.332 C
0.084 0.933 0.650 C
0.416 0.567 0.668 C
0.350 0.168 0.916 C
0.656 0.267 0.145 C
0.067 0.355 0.844 C
0.145 0.656 0.267 C
0.145 0.267 0.433 C
0.233 0.844 0.355 C
0.145 0.433 0.656 C
0.156 0.933 0.645 C
0.850 0.416 0.668 C
0.433 0.267 0.656 C
0.668 0.850 0.416 C
0.355 0.844 0.067 C
0.416 0.850 0.567 C
0.084 0.650 0.832 C
0.850 0.567 0.416 C
0.916 0.168 0.067 C
0.355 0.233 0.844 C
0.267 0.656 0.433 C
0.067 0.233 0.355 C
0.656 0.145 0.433 C
0.567 0.855 0.733 C
0.567 0.344 0.855 C
0.584 0.332 0.150 C
0.933 0.084 0.832 C
0.433 0.145 0.267 C
0.150 0.332 0.433 C
0.584 0.150 0.433 C
0.233 0.355 0.067 C
0.855 0.567 0.344 C
0.650 0.933 0.832 C
0.850 0.668 0.567 C
0.916 0.350 0.168 C
0.433 0.656 0.145 C
0.433 0.332 0.584 C
0.855 0.344 0.733 C
0.668 0.416 0.567 C
0.567 0.733 0.344 C
0.733 0.344 0.567 C
0.350 0.916 0.067 C
0.168 0.067 0.916 C
0.645 0.156 0.933 C
0.584 0.433 0.332 C
0.168 0.350 0.067 C
0.567 0.416 0.850 C
0.067 0.168 0.350 C
0.332 0.584 0.433 C
0.267 0.433 0.145 C
0.933 0.156 0.767 C
0.832 0.084 0.650 C
0.733 0.855 0.344 C
0.084 0.832 0.933 C
0.350 0.067 0.168 C
0.332 0.150 0.584 C
0.567 0.668 0.416 C
0.733 0.567 0.855 C
0.767 0.156 0.645 C
0.344 0.567 0.733 C